Entry from the Materials Project: crystalline Ba6MgNb2IrCl2O12 at its relaxed geometry (PBE).

abc: 6.0065 6.0106 16.0692
angles: 97.26 90.01 119.86
Closest atoms and distances in Å follow each position.
Space group P1 (No. 1)
Symmetry-distinct sites (fractional):
Ba: 0.0000 0.0000 0.0000  3 O 2.53-2.78
Ba: 0.0196 0.0343 0.2429  5 O 2.56-2.69
Ba: 0.2016 0.3991 0.4648  2 O 2.60
Ba: 0.3036 0.6033 0.8688  3 O 2.54-2.56
Ba: 0.3473 0.6886 0.1244  8 O 2.75-3.06
Ba: 0.8970 0.7908 0.6033  1 O 2.47
Mg: 0.8084 0.6129 0.4036  5 O 2.04-2.13
Nb: 0.5216 0.0389 0.4039  3 O 1.85-1.98
Nb: 0.6737 0.3449 0.0418  4 O 1.92-2.01
Ir: 0.6566 0.3079 0.2403  4 O 2.05-2.08
Cl: 0.2856 0.5673 0.6595  4 Ba 3.12-3.39
Cl: 0.9434 0.8840 0.8020  2 Ba 3.15-3.16
O: 0.1876 0.8890 0.4553  1 Nb 1.98, 1 Mg 2.13
O: 0.4041 0.2428 0.1413  1 Ir 2.06, 1 Nb 2.19
O: 0.4123 0.8179 0.3029  1 Nb 1.85
O: 0.4520 0.3159 0.3443  1 Ir 2.08, 1 Mg 2.11, 1 Nb 2.23
O: 0.4601 0.4246 0.9770  1 Nb 1.92
O: 0.4939 0.9688 0.9924  1 Nb 2.01
O: 0.6988 0.3932 0.4991  1 Mg 2.04, 1 Nb 2.22
O: 0.7062 0.8892 0.4556  1 Nb 1.98, 1 Mg 2.12
O: 0.8442 0.6989 0.1099  1 Nb 2.00
O: 0.8489 0.2507 0.1419  1 Ir 2.05, 1 Nb 2.20
O: 0.8692 0.3168 0.3444  1 Ir 2.08, 1 Mg 2.10, 1 Nb 2.24
O: 0.9710 0.4362 0.9781  1 Nb 1.92

The energy of formation from the pure elements comes out at -2.77 eV/atom. Its distance to the lowest polymorph of the same formula is 38.1 meV per atom. The MP2020-corrected energy is -171.6 eV/cell. The volume is 20.74 Å³ per atom.

Entry from the Materials Project: crystalline AsS at its relaxed geometry (PBE).

abc: 11.4839 5.3003 10.1247
angles: 90.00 90.00 90.00
Closest atoms and distances in Å follow each position.
Space group Cmc2_1 (No. 36)
Symmetry-distinct sites (fractional):
As: 0.0000 0.0072 0.0000  3 S 2.22-2.39
As: 0.2001 0.4984 0.4656  2 S 2.39-2.44
S: 0.0000 0.2923 0.3465  1 As 2.22
S: 0.1612 0.1581 0.6211  3 As 2.39-2.44

The energy of formation from the pure elements comes out at -0.11 eV/atom. Its distance to the lowest polymorph of the same formula is 273.2 meV per atom. The MP2020-corrected energy is -108.2 eV/cell. The volume is 25.68 Å³ per atom.

Entry from the Materials Project: crystalline EuSi3Ni at its relaxed geometry (PBE).

abc: 4.1351 4.1351 9.6697
angles: 90.00 90.00 90.00
Closest atoms and distances in Å follow each position.
Space group I4mm (No. 107)
Symmetry-distinct sites (fractional):
Eu: 0.0000 0.0000 0.0000  12 Si 3.05-3.21, 5 Ni 3.25-3.41
Si: 0.0000 0.0000 0.4094  1 Ni 2.30, 4 Si 2.56
Si: 0.0000 0.5000 0.2537  2 Ni 2.31, 2 Si 2.56
Ni: 0.0000 0.0000 0.6477  5 Si 2.30-2.31

The energy of formation from the pure elements comes out at -0.57 eV/atom. The volume is 16.53 Å³ per atom.

> Number 2 is which compound?

AsS